(1)
Crystalline Al2O3 at its relaxed geometry, computed with PBE-GGA.

Lattice parameters (Å, degrees): 10.2318 10.3448 10.6873 94.08 92.10 91.85
Fractional coordinates of all 100 atoms:
Al: 0.0000 0.0000 0.0000
Al: 0.0017 0.4279 0.8264
Al: 0.0225 0.0795 0.7512
Al: 0.0529 0.0205 0.2907
Al: 0.0571 0.3397 0.3070
Al: 0.0708 0.2860 0.0037
Al: 0.1321 0.5280 0.1346
Al: 0.1563 0.6277 0.4357
Al: 0.1637 0.4018 0.5965
Al: 0.1889 0.6420 0.7012
Al: 0.1926 0.1795 0.4943
Al: 0.2172 0.9202 0.5696
Al: 0.2234 0.6884 0.9610
Al: 0.2377 0.1232 0.1382
Al: 0.2808 0.9921 0.8743
Al: 0.3619 0.3970 0.0291
Al: 0.3650 0.9994 0.3396
Al: 0.3871 0.2368 0.7487
Al: 0.3884 0.6889 0.2749
Al: 0.4473 0.9067 0.0963
Al: 0.4697 0.5343 0.8158
Al: 0.5015 0.2171 0.4591
Al: 0.5297 0.4683 0.2744
Al: 0.5342 0.1806 0.1844
Al: 0.5412 0.5973 0.5210
Al: 0.5501 0.9138 0.5278
Al: 0.6587 0.3544 0.6494
Al: 0.6624 0.8006 0.7057
Al: 0.7006 0.8870 0.9603
Al: 0.7112 0.6521 0.2693
Al: 0.7338 0.9575 0.2584
Al: 0.7414 0.1021 0.7525
Al: 0.7468 0.3580 0.4118
Al: 0.7474 0.5103 0.9702
Al: 0.7753 0.1828 0.0284
Al: 0.8032 0.0694 0.4886
Al: 0.8407 0.6144 0.5405
Al: 0.8430 0.4208 0.1805
Al: 0.9198 0.7136 0.8326
Al: 0.9241 0.7532 0.1222
O: 0.0088 0.3916 0.1375
O: 0.0250 0.2492 0.8280
O: 0.0676 0.4937 0.6982
O: 0.0839 0.6843 0.0872
O: 0.0873 0.3072 0.4710
O: 0.0954 0.7162 0.8362
O: 0.1062 0.1828 0.2474
O: 0.1145 0.4534 0.9548
O: 0.1226 0.0198 0.4690
O: 0.1496 0.4926 0.3023
O: 0.1667 0.0499 0.9871
O: 0.1779 0.7626 0.5913
O: 0.1789 0.0012 0.7226
O: 0.2229 0.9885 0.2398
O: 0.2385 0.2802 0.0671
O: 0.2403 0.2592 0.6495
O: 0.2408 0.7322 0.3426
O: 0.2491 0.5406 0.5603
O: 0.3056 0.5638 0.0879
O: 0.3201 0.6232 0.8204
O: 0.3266 0.8487 0.9724
O: 0.3328 0.1816 0.4124
O: 0.3830 0.9542 0.5045
O: 0.3973 0.3768 0.8627
O: 0.4009 0.0979 0.8289
O: 0.4102 0.0788 0.1027
O: 0.4337 0.8564 0.2510
O: 0.4358 0.5673 0.3872
O: 0.4802 0.3445 0.1509
O: 0.5040 0.2509 0.6271
O: 0.5203 0.0989 0.3259
O: 0.5337 0.7589 0.5904
O: 0.5458 0.6297 0.2055
O: 0.5504 0.5084 0.6642
O: 0.5620 0.3614 0.4007
O: 0.5908 0.5448 0.9324
O: 0.6028 0.7990 0.8509
O: 0.6254 0.9073 0.1057
O: 0.6505 0.9716 0.6648
O: 0.6768 0.9464 0.4229
O: 0.6975 0.6513 0.4462
O: 0.7004 0.1438 0.1679
O: 0.7088 0.2122 0.4974
O: 0.7105 0.4715 0.2781
O: 0.7230 0.0549 0.9130
O: 0.7268 0.2704 0.7709
O: 0.7626 0.3533 0.0344
O: 0.7793 0.4493 0.5628
O: 0.8038 0.7956 0.2438
O: 0.8193 0.7224 0.6866
O: 0.8280 0.5870 0.1208
O: 0.8451 0.7879 0.9705
O: 0.8722 0.5386 0.8600
O: 0.8833 0.3317 0.3179
O: 0.8841 0.0823 0.6416
O: 0.8850 0.0384 0.3459
O: 0.9451 0.1604 0.0352
O: 0.9539 0.9601 0.8425
O: 0.9829 0.6213 0.4612
O: 0.9841 0.9267 0.1438

total DFT energy (no corrections)	-7.250	eV per atom


(2)
Crystalline CaMg6C at its relaxed geometry, computed with PBE-GGA.

Lattice parameters (Å, degrees): 3.3126 9.7592 9.7592 36.03 90.00 90.00
Fractional coordinates of all 8 atoms:
Ca: 0.0000 0.0000 0.0000
Mg: 0.0000 0.0302 0.5756
Mg: 0.0000 0.5536 0.5536
Mg: 0.0000 0.5756 0.0302
Mg: 0.5000 0.4169 0.4169
Mg: 0.5000 0.4218 0.9166
Mg: 0.5000 0.9166 0.4218
C: 0.5000 0.7648 0.7648

total DFT energy (no corrections)	-2.309	eV per atom


(3)
Crystalline Sc3Re2Si4 at its relaxed geometry, computed with PBE-GGA.

Lattice parameters (Å, degrees): 10.1869 10.1869 13.7462 124.04 124.04 30.54
Fractional coordinates of all 36 atoms:
Sc: 0.0191 0.7475 0.5464
Sc: 0.0340 0.8024 0.8422
Sc: 0.1976 0.9660 0.6578
Sc: 0.2074 0.4641 0.1390
Sc: 0.2525 0.9809 0.9536
Sc: 0.4641 0.2074 0.6390
Sc: 0.5359 0.7926 0.3610
Sc: 0.7475 0.0191 0.0464
Sc: 0.7926 0.5359 0.8610
Sc: 0.8024 0.0340 0.3422
Sc: 0.9660 0.1976 0.1578
Sc: 0.9809 0.2525 0.4536
Re: 0.1451 0.3268 0.7172
Re: 0.3268 0.1451 0.2172
Re: 0.3616 0.5876 0.0768
Re: 0.4124 0.6384 0.4232
Re: 0.5876 0.3616 0.5768
Re: 0.6384 0.4124 0.9232
Re: 0.6732 0.8549 0.7828
Re: 0.8549 0.6732 0.2828
Si: 0.1022 0.5487 0.9280
Si: 0.1069 0.3479 0.3897
Si: 0.1394 0.8606 0.2500
Si: 0.2702 0.4986 0.3750
Si: 0.3479 0.1069 0.8897
Si: 0.3881 0.6119 0.7500
Si: 0.4513 0.8978 0.5720
Si: 0.4986 0.2702 0.8750
Si: 0.5014 0.7298 0.1250
Si: 0.5487 0.1022 0.4280
Si: 0.6119 0.3881 0.2500
Si: 0.6521 0.8931 0.1103
Si: 0.7298 0.5014 0.6250
Si: 0.8606 0.1394 0.7500
Si: 0.8931 0.6521 0.6103
Si: 0.8978 0.4513 0.0720

total DFT energy (no corrections)	-8.010	eV per atom


(4)
Crystalline CrFe3N3 at its relaxed geometry, computed with PBE-GGA.

Lattice parameters (Å, degrees): 6.6896 6.6896 3.8146 90.00 90.00 119.71
Fractional coordinates of all 14 atoms:
Cr: 0.1690 0.8310 0.7500
Cr: 0.8310 0.1690 0.2500
Fe: 0.1782 0.3387 0.7500
Fe: 0.3387 0.1782 0.2500
Fe: 0.3432 0.6568 0.2500
Fe: 0.6568 0.3432 0.7500
Fe: 0.6613 0.8218 0.7500
Fe: 0.8218 0.6613 0.2500
N: 0.1405 0.3224 0.2500
N: 0.3224 0.1405 0.7500
N: 0.3243 0.6757 0.7500
N: 0.6757 0.3243 0.2500
N: 0.6776 0.8595 0.2500
N: 0.8595 0.6776 0.7500

total DFT energy (no corrections)	-8.624	eV per atom


(5)
Crystalline NdY3 at its relaxed geometry, computed with PBE-GGA.

Lattice parameters (Å, degrees): 6.2511 6.2511 6.2511 131.82 131.82 70.51
Fractional coordinates of all 4 atoms:
Nd: 0.0000 0.0000 0.0000
Y: 0.2500 0.7500 0.5000
Y: 0.5000 0.5000 0.0000
Y: 0.7500 0.2500 0.5000

total DFT energy (no corrections)	-6.019	eV per atom


(6)
Crystalline In2O3 at its relaxed geometry, computed with PBE-GGA.

Lattice parameters (Å, degrees): 11.0933 11.5006 11.7032 90.52 91.94 96.38
Fractional coordinates of all 100 atoms:
In: 0.0000 0.0000 0.0000
In: 0.0015 0.0704 0.6770
In: 0.0119 0.5440 0.8541
In: 0.0123 0.5878 0.5457
In: 0.0565 0.4870 0.1273
In: 0.0653 0.8168 0.7870
In: 0.1369 0.2907 0.8557
In: 0.1800 0.3276 0.5698
In: 0.2086 0.9078 0.5288
In: 0.2233 0.2286 0.1037
In: 0.2306 0.9617 0.2226
In: 0.2484 0.7664 0.0332
In: 0.2759 0.7140 0.3521
In: 0.2957 0.0372 0.8421
In: 0.3128 0.1950 0.3582
In: 0.3192 0.6904 0.6498
In: 0.3471 0.4207 0.2646
In: 0.3494 0.5139 0.9260
In: 0.4576 0.1438 0.5940
In: 0.4871 0.9853 0.1161
In: 0.4905 0.4022 0.7024
In: 0.5090 0.7913 0.8968
In: 0.5146 0.6959 0.1646
In: 0.5295 0.3163 0.0244
In: 0.5788 0.6752 0.4576
In: 0.6195 0.0951 0.8618
In: 0.6743 0.4059 0.4896
In: 0.7070 0.1994 0.2237
In: 0.7191 0.5531 0.9452
In: 0.7354 0.1018 0.5056
In: 0.7436 0.8850 0.2286
In: 0.7447 0.6340 0.6882
In: 0.7477 0.5329 0.2262
In: 0.7828 0.8787 0.8437
In: 0.8257 0.3307 0.7114
In: 0.8598 0.1995 0.0482
In: 0.8734 0.8374 0.5211
In: 0.9472 0.3553 0.3960
In: 0.9704 0.7519 0.1088
In: 0.9951 0.0530 0.3554
O: 0.0120 0.3845 0.7605
O: 0.0313 0.2130 0.4564
O: 0.0365 0.9714 0.5235
O: 0.0459 0.1906 0.0080
O: 0.0990 0.0022 0.8362
O: 0.1060 0.4572 0.4675
O: 0.1274 0.6647 0.1590
O: 0.1301 0.8970 0.0762
O: 0.1452 0.1157 0.2619
O: 0.1504 0.1982 0.6965
O: 0.1498 0.6933 0.8842
O: 0.1535 0.4546 0.9614
O: 0.1583 0.3660 0.2088
O: 0.1738 0.8565 0.3560
O: 0.1748 0.7072 0.5301
O: 0.2444 0.4929 0.6680
O: 0.2470 0.8755 0.7034
O: 0.2785 0.2004 0.9336
O: 0.3006 0.4257 0.7610
O: 0.3066 0.0696 0.4851
O: 0.3604 0.1099 0.1878
O: 0.3603 0.8380 0.1913
O: 0.3728 0.3812 0.0864
O: 0.3727 0.9137 0.9531
O: 0.3763 0.3065 0.5637
O: 0.3802 0.5980 0.2749
O: 0.3969 0.6666 0.0191
O: 0.4091 0.7257 0.4939
O: 0.4178 0.6583 0.7922
O: 0.4513 0.1266 0.7706
O: 0.5186 0.4384 0.8843
O: 0.5547 0.1363 0.0229
O: 0.5646 0.0347 0.5224
O: 0.5879 0.5330 0.6003
O: 0.5986 0.8463 0.0661
O: 0.6077 0.7715 0.3083
O: 0.6094 0.9256 0.8034
O: 0.6213 0.5656 0.0906
O: 0.6276 0.2944 0.6299
O: 0.6292 0.5203 0.3652
O: 0.6321 0.0284 0.2407
O: 0.6436 0.3522 0.1710
O: 0.6845 0.2775 0.8748
O: 0.6864 0.7053 0.8503
O: 0.7022 0.7655 0.5796
O: 0.7556 0.2555 0.3974
O: 0.7860 0.4956 0.7906
O: 0.8175 0.3013 0.9032
O: 0.8179 0.7152 0.1995
O: 0.8189 0.0462 0.9323
O: 0.8207 0.9749 0.4076
O: 0.8395 0.1514 0.6582
O: 0.8603 0.4333 0.5492
O: 0.9004 0.6812 0.4494
O: 0.9050 0.8958 0.7035
O: 0.9086 0.4457 0.2454
O: 0.9149 0.5612 0.0120
O: 0.9236 0.9604 0.1823
O: 0.9332 0.8230 0.9399
O: 0.9643 0.6572 0.7098

total DFT energy (no corrections)	-5.375	eV per atom


The records above yield mass density values of 3.005, 1.771, 6.972, 5.859, 5.134, 6.218 g cm⁻³, respectively.